P) First-principles (PBE+U) data for an optimized crystal structure of KMn2Zn3Si12O30, as listed in the Materials Project database.

abc: 10.272 10.291 14.567
angles: 90.56 90.10 119.88
Space group P1 (No. 1)
Unique sites:
K 0.000 0.000 0.000 x1
K 0.010 0.998 0.500 x1
Mn 0.336 0.667 0.000 x1
Mn 0.341 0.665 0.500 x1
Mn 0.668 0.333 0.000 x1
Mn 0.675 0.331 0.500 x1
Zn 0.003 0.496 0.000 x1
Zn 0.007 0.503 0.499 x1
Zn 0.500 0.999 0.500 x1
Zn 0.505 0.496 0.500 x1
Zn 0.506 0.502 0.000 x1
Zn 0.510 0.000 0.000 x1
Si 0.116 0.349 0.143 x1
Si 0.118 0.762 0.860 x1
Si 0.120 0.760 0.643 x1
Si 0.121 0.350 0.360 x1
Si 0.241 0.351 0.859 x1
Si 0.241 0.885 0.139 x1
Si 0.243 0.348 0.642 x1
Si 0.245 0.887 0.356 x1
Si 0.355 0.114 0.861 x1
Si 0.356 0.111 0.644 x1
Si 0.356 0.237 0.141 x1
Si 0.360 0.237 0.358 x1
Si 0.651 0.761 0.143 x1
Si 0.654 0.888 0.856 x1
Si 0.655 0.762 0.360 x1
Si 0.655 0.884 0.639 x1
Si 0.766 0.112 0.145 x1
Si 0.766 0.650 0.857 x1
Si 0.769 0.114 0.361 x1
Si 0.769 0.646 0.640 x1
Si 0.889 0.238 0.856 x1
Si 0.889 0.647 0.140 x1
Si 0.891 0.236 0.640 x1
Si 0.894 0.650 0.357 x1
O 0.061 0.779 0.115 x1
O 0.062 0.278 0.882 x1
O 0.064 0.277 0.617 x1
O 0.066 0.784 0.380 x1
O 0.132 0.392 0.252 x1
O 0.134 0.732 0.752 x1
O 0.153 0.491 0.080 x1
O 0.157 0.657 0.924 x1
O 0.162 0.658 0.579 x1
O 0.163 0.495 0.424 x1
O 0.222 0.276 0.119 x1
O 0.223 0.938 0.620 x1
O 0.225 0.941 0.885 x1
O 0.229 0.279 0.383 x1
O 0.270 0.871 0.247 x1
O 0.271 0.392 0.751 x1
O 0.277 0.211 0.620 x1
O 0.279 0.217 0.885 x1
O 0.280 0.058 0.116 x1
O 0.283 0.059 0.380 x1
O 0.343 0.496 0.924 x1
O 0.344 0.845 0.075 x1
O 0.348 0.847 0.419 x1
O 0.349 0.490 0.580 x1
O 0.399 0.128 0.753 x1
O 0.402 0.266 0.249 x1
O 0.499 0.341 0.077 x1
O 0.500 0.152 0.581 x1
O 0.501 0.157 0.926 x1
O 0.506 0.338 0.423 x1
O 0.507 0.660 0.078 x1
O 0.511 0.844 0.575 x1
O 0.511 0.848 0.919 x1
O 0.513 0.656 0.423 x1
O 0.609 0.733 0.251 x1
O 0.612 0.871 0.747 x1
O 0.662 0.508 0.920 x1
O 0.663 0.153 0.081 x1
O 0.667 0.157 0.426 x1
O 0.668 0.500 0.575 x1
O 0.726 0.941 0.385 x1
O 0.727 0.777 0.615 x1
O 0.727 0.939 0.120 x1
O 0.731 0.785 0.880 x1
O 0.739 0.129 0.253 x1
O 0.739 0.604 0.749 x1
O 0.784 0.722 0.117 x1
O 0.788 0.060 0.880 x1
O 0.789 0.056 0.615 x1
O 0.791 0.726 0.381 x1
O 0.845 0.502 0.075 x1
O 0.846 0.340 0.921 x1
O 0.850 0.339 0.575 x1
O 0.855 0.507 0.420 x1
O 0.875 0.266 0.748 x1
O 0.878 0.606 0.248 x1
O 0.945 0.213 0.120 x1
O 0.946 0.725 0.882 x1
O 0.948 0.722 0.618 x1
O 0.949 0.216 0.385 x1

=====

Q) First-principles (PBE+U) data for an optimized crystal structure of KMn2Zn3Si12O30, as listed in the Materials Project database.

abc: 10.3265 10.3265 14.3757
angles: 90.00 90.00 120.00
Space group P6cc (No. 184)
Unique sites:
K 0.0000 0.0000 0.0000 x2
Mn 0.3333 0.6667 0.0032 x4
Zn 0.0000 0.5000 0.0035 x6
Si 0.1129 0.3481 0.1421 x12
Si 0.1128 0.3481 0.3648 x12
O 0.0583 0.2764 0.6138 x12
O 0.0583 0.2761 0.8932 x12
O 0.1226 0.3784 0.2534 x12
O 0.1553 0.4976 0.4241 x12
O 0.1556 0.4976 0.0826 x12

=====

What is the most stable structure shown above? It is P).